The following is a DFT calculation (PBE) of a relaxed Si3O crystal.

a b c (Å): 9.4991 9.4991 8.3573
angles (deg): 107.41 107.41 25.63
Fractional coordinates of all 16 atoms:
1 Si 0.0298 0.0708 0.1219
2 Si 0.0708 0.0298 0.6219
3 Si 0.2370 0.3672 0.5365
4 Si 0.3621 0.3906 0.3373
5 Si 0.3672 0.2370 0.0365
6 Si 0.3906 0.3621 0.8373
7 Si 0.6094 0.6379 0.1627
8 Si 0.6328 0.7630 0.9635
9 Si 0.6379 0.6094 0.6627
10 Si 0.7630 0.6328 0.4635
11 Si 0.9292 0.9702 0.3781
12 Si 0.9702 0.9292 0.8781
13 O 0.0000 0.5000 0.0000
14 O 0.0887 0.9113 0.7500
15 O 0.5000 0.0000 0.5000
16 O 0.9113 0.0887 0.2500

## Properties
Its energy with MP2020 corrections is -6.088 eV/atom. As for the energy above the lowest structure with this stoichiometry: 0.0 kJ per mole of atoms. The formation energy comes out at -782 meV/atom.

***

The following is a DFT calculation (PBE) of a relaxed Nd13B4O26 crystal.

a b c (Å): 6.7995 12.7759 14.4263
angles (deg): 90.00 99.65 90.00
Fractional coordinates of all 86 atoms:
1 Nd 0.0000 0.0000 0.0000
2 Nd 0.0000 0.5000 0.5000
3 Nd 0.0558 0.2136 0.2006
4 Nd 0.0558 0.2864 0.7006
5 Nd 0.1433 0.1920 0.4712
6 Nd 0.1433 0.3080 0.9712
7 Nd 0.2333 0.0007 0.6683
8 Nd 0.2333 0.4993 0.1683
9 Nd 0.3283 0.6149 0.9444
10 Nd 0.3283 0.8851 0.4444
11 Nd 0.3758 0.6986 0.6614
12 Nd 0.3758 0.8014 0.1614
13 Nd 0.4873 0.6110 0.4137
14 Nd 0.4873 0.8890 0.9137
15 Nd 0.5127 0.1110 0.0863
16 Nd 0.5127 0.3890 0.5863
17 Nd 0.6242 0.1986 0.8386
18 Nd 0.6242 0.3014 0.3386
19 Nd 0.6717 0.1149 0.5556
20 Nd 0.6717 0.3851 0.0556
21 Nd 0.7667 0.5007 0.8317
22 Nd 0.7667 0.9993 0.3317
23 Nd 0.8567 0.6920 0.0288
24 Nd 0.8567 0.8080 0.5288
25 Nd 0.9442 0.7136 0.2994
26 Nd 0.9442 0.7864 0.7994
27 B 0.1394 0.0955 0.8372
28 B 0.1394 0.4045 0.3372
29 B 0.3221 0.0510 0.2896
30 B 0.3221 0.4490 0.7896
31 B 0.6779 0.5510 0.2104
32 B 0.6779 0.9490 0.7104
33 B 0.8606 0.5955 0.6628
34 B 0.8606 0.9045 0.1628
35 O 0.0102 0.6488 0.6292
36 O 0.0102 0.8512 0.1292
37 O 0.0236 0.1356 0.6062
38 O 0.0236 0.3644 0.1062
39 O 0.1473 0.0742 0.3253
40 O 0.1473 0.4258 0.8253
41 O 0.1609 0.1550 0.0688
42 O 0.1609 0.3450 0.5688
43 O 0.1618 0.5120 0.3483
44 O 0.1618 0.9880 0.8483
45 O 0.1942 0.6565 0.0902
46 O 0.1942 0.8435 0.5902
47 O 0.2659 0.1505 0.7883
48 O 0.2659 0.3495 0.2883
49 O 0.2804 0.7384 0.3216
50 O 0.2804 0.7616 0.8216
51 O 0.3342 0.0462 0.5311
52 O 0.3342 0.4538 0.0311
53 O 0.3455 0.5545 0.5495
54 O 0.3455 0.9455 0.0495
55 O 0.4001 0.5489 0.7892
56 O 0.4001 0.9511 0.2892
57 O 0.4248 0.1312 0.2547
58 O 0.4248 0.3688 0.7547
59 O 0.4795 0.2488 0.9784
60 O 0.4795 0.2512 0.4784
61 O 0.5205 0.7488 0.5216
62 O 0.5205 0.7512 0.0216
63 O 0.5752 0.6312 0.2453
64 O 0.5752 0.8688 0.7453
65 O 0.5999 0.0489 0.7108
66 O 0.5999 0.4511 0.2108
67 O 0.6545 0.0545 0.9505
68 O 0.6545 0.4455 0.4505
69 O 0.6658 0.5462 0.9689
70 O 0.6658 0.9538 0.4689
71 O 0.7196 0.2384 0.1784
72 O 0.7196 0.2616 0.6784
73 O 0.7341 0.6505 0.7117
74 O 0.7341 0.8495 0.2117
75 O 0.8058 0.1565 0.4098
76 O 0.8058 0.3435 0.9098
77 O 0.8382 0.0120 0.1517
78 O 0.8382 0.4880 0.6517
79 O 0.8391 0.6550 0.4312
80 O 0.8391 0.8450 0.9312
81 O 0.8527 0.5742 0.1747
82 O 0.8527 0.9258 0.6747
83 O 0.9764 0.6356 0.8938
84 O 0.9764 0.8644 0.3938
85 O 0.9898 0.1488 0.8708
86 O 0.9898 0.3512 0.3708

## Properties
Its energy with MP2020 corrections is -8.644 eV/atom. The formation energy comes out at -3590 meV/atom.

***

The following is a DFT calculation (PBE) of a relaxed Zr2V6Sb9 crystal.

a b c (Å): 9.7666 9.7666 7.2415
angles (deg): 90.00 90.00 90.00
Fractional coordinates of all 34 atoms:
1 Zr 0.2500 0.2500 0.0853
2 Zr 0.2500 0.2500 0.5870
3 Zr 0.7500 0.7500 0.4130
4 Zr 0.7500 0.7500 0.9147
5 V 0.0000 0.0000 0.0000
6 V 0.0000 0.5000 0.0000
7 V 0.1111 0.7500 0.8407
8 V 0.2500 0.6111 0.1593
9 V 0.2500 0.8889 0.1593
10 V 0.3889 0.7500 0.8407
11 V 0.5000 0.0000 0.0000
12 V 0.5000 0.5000 0.0000
13 V 0.6111 0.2500 0.1593
14 V 0.7500 0.1111 0.8407
15 V 0.7500 0.3889 0.8407
16 V 0.8889 0.2500 0.1593
17 Sb 0.0019 0.2500 0.8173
18 Sb 0.0773 0.0773 0.3469
19 Sb 0.0773 0.4227 0.3469
20 Sb 0.2500 0.0019 0.8173
21 Sb 0.2500 0.4981 0.8173
22 Sb 0.2500 0.7500 0.5000
23 Sb 0.4227 0.0773 0.3469
24 Sb 0.4227 0.4227 0.3469
25 Sb 0.4981 0.2500 0.8173
26 Sb 0.5019 0.7500 0.1827
27 Sb 0.5773 0.5773 0.6531
28 Sb 0.5773 0.9227 0.6531
29 Sb 0.7500 0.2500 0.5000
30 Sb 0.7500 0.5019 0.1827
31 Sb 0.7500 0.9981 0.1827
32 Sb 0.9227 0.5773 0.6531
33 Sb 0.9227 0.9227 0.6531
34 Sb 0.9981 0.7500 0.1827

## Properties
Its energy with MP2020 corrections is -6.772 eV/atom. The formation energy comes out at -375 meV/atom.

***

The following is a DFT calculation (PBE) of a relaxed ZnPd4 crystal.

a b c (Å): 11.0797 11.0797 11.0797
angles (deg): 14.66 14.66 14.66
Fractional coordinates of all 5 atoms:
1 Zn 0.0000 0.0000 0.0000
2 Pd 0.2012 0.2012 0.2012
3 Pd 0.3956 0.3956 0.3956
4 Pd 0.6044 0.6044 0.6044
5 Pd 0.7988 0.7988 0.7988

## Properties
The formation energy comes out at -231 meV/atom.

***

The following is a DFT calculation (PBE) of a relaxed Li7C120 crystal.

a b c (Å): 9.4014 9.0750 15.0289
angles (deg): 90.00 90.30 90.00
Fractional coordinates of all 127 atoms:
1 Li 0.0000 0.0000 0.0000
2 Li 0.0554 0.5000 0.3715
3 Li 0.1702 0.0000 0.4973
4 Li 0.4992 0.5000 0.4991
5 Li 0.5554 0.0000 0.8760
6 Li 0.6144 0.0000 0.6208
7 Li 0.6709 0.5000 0.9986
8 C 0.9996 0.0000 0.2481
9 C 0.0017 0.0879 0.7592
10 C 0.0017 0.9121 0.7592
11 C 0.0091 0.4208 0.5224
12 C 0.0091 0.5792 0.5224
13 C 0.0296 0.3415 0.9608
14 C 0.0296 0.6585 0.9608
15 C 0.0580 0.2091 0.9097
16 C 0.0580 0.7909 0.9097
17 C 0.1114 0.2084 0.5872
18 C 0.1114 0.7916 0.5872
19 C 0.1399 0.3411 0.5362
20 C 0.1399 0.6589 0.5362
21 C 0.1601 0.4221 0.9727
22 C 0.1601 0.5779 0.9727
23 C 0.1679 0.0879 0.7379
24 C 0.1679 0.9121 0.7379
25 C 0.1705 0.0000 0.2492
26 C 0.2099 0.2136 0.8867
27 C 0.2099 0.7864 0.8867
28 C 0.2121 0.1646 0.6525
29 C 0.2121 0.8354 0.6525
30 C 0.2345 0.0000 0.3421
31 C 0.2336 0.1307 0.1963
32 C 0.2336 0.8693 0.1963
33 C 0.2619 0.1645 0.8057
34 C 0.2619 0.8355 0.8057
35 C 0.2670 0.4205 0.5499
36 C 0.2670 0.5795 0.5499
37 C 0.2708 0.3436 0.9268
38 C 0.2708 0.6564 0.9268
39 C 0.2886 0.0803 0.1136
40 C 0.2886 0.9197 0.1136
41 C 0.2987 0.2533 0.2357
42 C 0.2987 0.7467 0.2357
43 C 0.3003 0.1266 0.3810
44 C 0.3003 0.8734 0.3810
45 C 0.3294 0.2573 0.3312
46 C 0.3294 0.7427 0.3312
47 C 0.3410 0.2420 0.6658
48 C 0.3410 0.7580 0.6658
49 C 0.3692 0.3732 0.6164
50 C 0.3692 0.6268 0.6164
51 C 0.3730 0.2452 0.7614
52 C 0.3730 0.7548 0.7614
53 C 0.3806 0.4198 0.8832
54 C 0.3806 0.5802 0.8832
55 C 0.3980 0.1571 0.0698
56 C 0.3980 0.8429 0.0698
57 C 0.4024 0.0795 0.4475
58 C 0.4024 0.9205 0.4475
59 C 0.4086 0.3342 0.1916
60 C 0.4086 0.6658 0.1916
61 C 0.4350 0.5000 0.6552
62 C 0.4368 0.3689 0.8008
63 C 0.4368 0.6311 0.8008
64 C 0.4576 0.3353 0.3447
65 C 0.4576 0.6647 0.3447
66 C 0.4595 0.2864 0.1101
67 C 0.4595 0.7136 0.1101
68 C 0.4997 0.5000 0.7478
69 C 0.5018 0.4119 0.2592
70 C 0.5018 0.5881 0.2592
71 C 0.5087 0.0789 0.0232
72 C 0.5087 0.9211 0.0232
73 C 0.5298 0.1589 0.4611
74 C 0.5298 0.8411 0.4611
75 C 0.5583 0.2918 0.4103
76 C 0.5583 0.7082 0.4103
77 C 0.6112 0.2913 0.0869
78 C 0.6112 0.7087 0.0869
79 C 0.6400 0.1591 0.0360
80 C 0.6400 0.8409 0.0360
81 C 0.6606 0.0793 0.4744
82 C 0.6606 0.9207 0.4744
83 C 0.6678 0.4121 0.2378
84 C 0.6678 0.5879 0.2378
85 C 0.6700 0.5000 0.7488
86 C 0.7098 0.2866 0.3870
87 C 0.7098 0.7134 0.3870
88 C 0.7117 0.3348 0.1525
89 C 0.7117 0.6652 0.1525
90 C 0.7329 0.3689 0.6958
91 C 0.7329 0.6311 0.6958
92 C 0.7342 0.5000 0.8416
93 C 0.7617 0.3354 0.3057
94 C 0.7617 0.6646 0.3057
95 C 0.7671 0.0794 0.0497
96 C 0.7671 0.9206 0.0497
97 C 0.7710 0.1569 0.4272
98 C 0.7710 0.8431 0.4272
99 C 0.7893 0.4196 0.6136
100 C 0.7893 0.5804 0.6136
101 C 0.7968 0.2451 0.7355
102 C 0.7968 0.7549 0.7355
103 C 0.8006 0.3735 0.8803
104 C 0.8006 0.6265 0.8803
105 C 0.8286 0.2425 0.8311
106 C 0.8286 0.7575 0.8311
107 C 0.8391 0.2561 0.1664
108 C 0.8391 0.7439 0.1664
109 C 0.8690 0.1264 0.1166
110 C 0.8690 0.8736 0.1166
111 C 0.8716 0.2540 0.2614
112 C 0.8716 0.7460 0.2614
113 C 0.8807 0.0804 0.3836
114 C 0.8807 0.9196 0.3836
115 C 0.8988 0.3431 0.5698
116 C 0.8988 0.6569 0.5698
117 C 0.9026 0.4207 0.9474
118 C 0.9026 0.5793 0.9474
119 C 0.9076 0.1643 0.6913
120 C 0.9076 0.8357 0.6913
121 C 0.9354 0.0000 0.1553
122 C 0.9366 0.1308 0.3012
123 C 0.9366 0.8692 0.3012
124 C 0.9577 0.1650 0.8445
125 C 0.9577 0.8350 0.8445
126 C 0.9598 0.2135 0.6103
127 C 0.9598 0.7865 0.6103

## Properties
The formation energy comes out at 328 meV/atom.

***

The following is a DFT calculation (PBE) of a relaxed Pr15Si10Ni7 crystal.

a b c (Å): 19.8680 19.8680 4.3816
angles (deg): 90.00 90.00 120.00
Fractional coordinates of all 64 atoms:
1 Pr 0.0159 0.8688 0.2500
2 Pr 0.0344 0.3558 0.7500
3 Pr 0.0820 0.5804 0.7500
4 Pr 0.1242 0.8024 0.7500
5 Pr 0.1312 0.1471 0.2500
6 Pr 0.1471 0.0159 0.7500
7 Pr 0.1976 0.3218 0.7500
8 Pr 0.2444 0.5339 0.7500
9 Pr 0.2894 0.7556 0.7500
10 Pr 0.3214 0.9656 0.7500
11 Pr 0.3218 0.1242 0.2500
12 Pr 0.3558 0.3214 0.2500
13 Pr 0.4196 0.5016 0.7500
14 Pr 0.4661 0.7106 0.7500
15 Pr 0.4984 0.9180 0.7500
16 Pr 0.5016 0.0820 0.2500
17 Pr 0.5339 0.2894 0.2500
18 Pr 0.5804 0.4984 0.2500
19 Pr 0.6442 0.6786 0.7500
20 Pr 0.6782 0.8758 0.7500
21 Pr 0.6786 0.0344 0.2500
22 Pr 0.7106 0.2444 0.2500
23 Pr 0.7556 0.4661 0.2500
24 Pr 0.8024 0.6782 0.2500
25 Pr 0.8529 0.9841 0.2500
26 Pr 0.8688 0.8529 0.7500
27 Pr 0.8758 0.1976 0.2500
28 Pr 0.9180 0.4196 0.2500
29 Pr 0.9656 0.6442 0.2500
30 Pr 0.9841 0.1312 0.7500
31 Si 0.0612 0.2568 0.2500
32 Si 0.1103 0.4850 0.2500
33 Si 0.1554 0.7106 0.2500
34 Si 0.1957 0.9388 0.2500
35 Si 0.2568 0.1957 0.7500
36 Si 0.2894 0.4448 0.2500
37 Si 0.3333 0.6667 0.2500
38 Si 0.3747 0.8897 0.2500
39 Si 0.4448 0.1554 0.7500
40 Si 0.4850 0.3747 0.7500
41 Si 0.5150 0.6253 0.2500
42 Si 0.5552 0.8446 0.2500
43 Si 0.6253 0.1103 0.7500
44 Si 0.6667 0.3333 0.7500
45 Si 0.7106 0.5552 0.7500
46 Si 0.7432 0.8043 0.2500
47 Si 0.8043 0.0612 0.7500
48 Si 0.8446 0.2894 0.7500
49 Si 0.8897 0.5150 0.7500
50 Si 0.9388 0.7432 0.7500
51 Ni 0.0000 0.0000 0.0000
52 Ni 0.0000 0.0000 0.5000
53 Ni 0.1529 0.3937 0.2500
54 Ni 0.1995 0.6206 0.2500
55 Ni 0.2408 0.8471 0.2500
56 Ni 0.3794 0.5789 0.2500
57 Ni 0.3937 0.2408 0.7500
58 Ni 0.4211 0.8005 0.2500
59 Ni 0.5789 0.1995 0.7500
60 Ni 0.6063 0.7592 0.2500
61 Ni 0.6206 0.4211 0.7500
62 Ni 0.7592 0.1529 0.7500
63 Ni 0.8005 0.3794 0.7500
64 Ni 0.8471 0.6063 0.7500

## Properties
The formation energy comes out at -613 meV/atom.

***

The following is a DFT calculation (PBE) of a relaxed GaCu3HgSe4 crystal.

a b c (Å): 5.9353 5.9353 5.9353
angles (deg): 90.00 90.00 90.00
Fractional coordinates of all 9 atoms:
1 Ga 0.0000 0.0000 0.0000
2 Cu 0.0000 0.0000 0.5000
3 Cu 0.0000 0.5000 0.0000
4 Cu 0.5000 0.0000 0.0000
5 Hg 0.5000 0.5000 0.5000
6 Se 0.2387 0.2387 0.2387
7 Se 0.2387 0.7613 0.7613
8 Se 0.7613 0.2387 0.7613
9 Se 0.7613 0.7613 0.2387

## Properties
Its energy with MP2020 corrections is -3.621 eV/atom. The formation energy comes out at -331 meV/atom.

***

The following is a DFT calculation (PBE) of a relaxed Sr3Ti crystal.

a b c (Å): 6.7575 6.7575 6.7575
angles (deg): 131.91 131.91 70.38
Fractional coordinates of all 4 atoms:
1 Sr 0.0000 0.0000 0.0000
2 Sr 0.2500 0.7500 0.5000
3 Sr 0.7500 0.2500 0.5000
4 Ti 0.5000 0.5000 0.0000

## Properties
The formation energy comes out at 522 meV/atom.

***

| no. | E_tot (eV per atom) | magnetization (μB/f.u.) |
| --- | --- | --- |
| 1 | -5.917 | 0.00 |
| 2 | -8.229 | 0.99 |
| 3 | -6.671 | 0.00 |
| 4 | -4.626 | 0.02 |
| 5 | -8.497 | 0.00 |
| 6 | -5.814 | 0.11 |
| 7 | -3.411 | 0.00 |
| 8 | -2.719 | 3.38 |